The following is a PBE calculation of an optimized crystal structure of Nb3Cr8Si8, from Materials Project.

a b c (Å): 13.1221 4.8260 15.7128
angles (deg): 90.00 90.00 90.00
Space group Pnma (No. 62)
Asymmetric unit:
1 Nb 0.0650 0.2500 0.1947 [4 per cell]
2 Nb 0.1345 0.7500 0.5428 [4 per cell]
3 Nb 0.2485 0.7500 0.9718 [4 per cell]
4 Cr 0.0424 0.7500 0.0939 [4 per cell]
5 Cr 0.0601 0.0092 0.3770 [8 per cell]
6 Cr 0.1226 0.2500 0.9932 [4 per cell]
7 Cr 0.1342 0.0082 0.8274 [8 per cell]
8 Cr 0.1366 0.2500 0.6562 [4 per cell]
9 Cr 0.1885 0.7500 0.2497 [4 per cell]
10 Si 0.0037 0.7500 0.2478 [4 per cell]
11 Si 0.0479 0.7500 0.9430 [4 per cell]
12 Si 0.0502 0.2500 0.5182 [4 per cell]
13 Si 0.0893 0.7500 0.6989 [4 per cell]
14 Si 0.2094 0.2500 0.3052 [4 per cell]
15 Si 0.2114 0.0004 0.1181 [8 per cell]
16 Si 0.2255 0.7500 0.3966 [4 per cell]

Calculated values
As for the corrected total energy (MP2020 scheme): -8.3374 eV/atom. For the formation energy, the calculation gives -0.394 eV/atom. For the final energy, the calculation gives -8.367 eV/atom.